(1)
HoCdCu4: relaxed, r2SCAN.

Structure (POSCAR):
```
HoCdCu4
1.0
0.000 3.563 3.563
3.563 0.000 3.563
3.563 3.563 0.000
Ho Cd Cu
1 1 4
Cartesian
0.000 0.000 0.000 Ho
1.782 1.782 1.782 Cd
4.448 2.679 2.679 Cu
2.679 4.448 2.679 Cu
2.679 2.679 4.448 Cu
4.448 4.448 4.448 Cu
```

Summary:
**ΔE_f**: -268 meV/atom
**Magnetic moment**: 0.000 μB/f.u.
**Electronic total energy**: -98.0 eV/f.u.
**ρ**: 9.754 g/cm³

---

(2)
Nd2CdCu2: relaxed, r2SCAN.

Structure (POSCAR):
```
Nd2CdCu2
1.0
7.676 0.000 0.000
0.000 7.676 0.000
0.000 0.000 3.853
Nd Cd Cu
4 2 4
Cartesian
1.350 2.488 0.000 Nd
2.488 6.326 0.000 Nd
5.188 1.350 0.000 Nd
6.326 5.188 0.000 Nd
0.000 0.000 1.926 Cd
3.838 3.838 1.926 Cd
0.903 4.741 1.926 Cu
2.935 0.903 1.926 Cu
4.741 6.773 1.926 Cu
6.773 2.935 1.926 Cu
```

Summary:
**ΔE_f**: -264 meV/atom
**Magnetic moment**: 0.000 μB/f.u.
**Electronic total energy**: -102.0 eV/f.u.
**ρ**: 7.724 g/cm³

---

(3)
Nd2CdCu2: relaxed, r2SCAN.

Structure (POSCAR):
```
Nd2CdCu2
1.0
2.128 -7.237 0.000
2.128 7.237 0.000
0.000 0.000 3.726
Nd Cd Cu
2 1 2
Cartesian
2.128 5.306 0.000 Nd
2.128 -5.306 0.000 Nd
2.128 0.000 1.863 Cd
2.128 2.944 1.863 Cu
2.128 -2.944 1.863 Cu
```

Summary:
**ΔE_f**: -276 meV/atom
**Magnetic moment**: 0.000 μB/f.u.
**Electronic total energy**: -102.0 eV/f.u.
**ρ**: 7.639 g/cm³

---

> Which value of ρ does entry 1 give?

9.754 g/cm³

---

> The lowest ΔE_f belongs to which entry?

number 3